## Li3LaSb2 (r²SCAN)

Data for a relaxed structure of Li3LaSb2.

Calculated values
Symmetry: P-3m1, No. 164
E_form (eV per atom): -1.04
E_tot (eV for the cell shown): -94.57

a = 4.638 Å, b = 4.638 Å, c = 7.474 Å
α = 90.00°, β = 90.00°, γ = 120.00°
Fractional positions:
Li 0.000 0.000 0.000
Li 0.333 0.667 0.143
Li 0.667 0.333 0.857
La 0.000 0.000 0.500
Sb 0.333 0.667 0.759
Sb 0.667 0.333 0.241